Model one:
Density functional theory data (GGA+U) for a geometry-optimized Li2MnCr3O8 structure.

```
Li2MnCr3O8
1.0
2.9563 1.7068 4.8901
-2.9563 1.7068 4.8901
0.0000 -3.4137 4.8901
Li Mn Cr O
2 1 3 8
Direct
0.0000 0.0000 0.0000
0.3762 0.3762 0.3762
0.7565 0.7565 0.7565
0.3753 0.3753 0.8833
0.3753 0.8833 0.3753
0.8833 0.3753 0.3753
0.1254 0.1254 0.5851
0.1254 0.5851 0.1254
0.1372 0.1372 0.1372
0.1717 0.6225 0.6225
0.5851 0.1254 0.1254
0.6169 0.6169 0.6169
0.6225 0.1717 0.6225
0.6225 0.6225 0.1717
```

Computed properties:
Space-group type: R3m (160)
Largest piezoelectric modulus (C/m2): 0.64
Size of the total moment (μB/cell): 11.00



Model two:
Density functional theory data (GGA+U) for a geometry-optimized Li2MnCr3O8 structure.

```
Li2MnCr3O8
1.0
8.3067 0.0000 0.0000
0.0000 8.3067 0.0000
0.0000 0.0000 8.3067
Li Mn Cr O
8 4 12 32
Direct
0.0005 0.0005 0.0005
0.2495 0.2495 0.2495
0.2505 0.7505 0.7495
0.4995 0.9995 0.5005
0.5005 0.4995 0.9995
0.7495 0.2505 0.7505
0.7505 0.7495 0.2505
0.9995 0.5005 0.4995
0.1250 0.8750 0.3750
0.3750 0.1250 0.8750
0.6250 0.6250 0.6250
0.8750 0.3750 0.1250
0.1245 0.6250 0.1255
0.1250 0.3745 0.8755
0.1255 0.1245 0.6250
0.3745 0.8755 0.1250
0.3750 0.6255 0.3755
0.3755 0.3750 0.6255
0.6245 0.8750 0.8745
0.6250 0.1255 0.1245
0.6255 0.3755 0.3750
0.8745 0.6245 0.8750
0.8750 0.8745 0.6245
0.8755 0.1250 0.3745
0.1078 0.3898 0.1138
0.1102 0.8862 0.6078
0.1123 0.6123 0.8877
0.1138 0.1078 0.3898
0.1362 0.8602 0.1422
0.1377 0.3623 0.6377
0.1398 0.6422 0.3638
0.1422 0.1362 0.8602
0.3578 0.8638 0.3602
0.3602 0.3578 0.8638
0.3623 0.6377 0.1377
0.3638 0.1398 0.6422
0.3862 0.8922 0.8898
0.3877 0.3877 0.3877
0.3898 0.1138 0.1078
0.3922 0.6102 0.6138
0.6078 0.1102 0.8862
0.6102 0.6138 0.3922
0.6123 0.8877 0.1123
0.6138 0.3922 0.6102
0.6362 0.6398 0.8578
0.6377 0.1377 0.3623
0.6398 0.8578 0.6362
0.6422 0.3638 0.1398
0.8578 0.6362 0.6398
0.8602 0.1422 0.1362
0.8623 0.8623 0.8623
0.8638 0.3602 0.3578
0.8862 0.6078 0.1102
0.8877 0.1123 0.6123
0.8898 0.3862 0.8922
0.8922 0.8898 0.3862
```

Computed properties:
Space-group type: P4_332 (212)
Size of the total moment (μB/cell): 44.00



How far above the most stable structure does each one sit? In eV/atom: model one 0.073; model two 0.000.